Below is a relaxed NdAl crystal, with properties calculated at the meta-GGA r2SCAN level.

It has space group Pbcm (No. 57), with a = 5.970 Å, b = 11.810 Å, c = 5.751 Å, α = 90.00°, β = 90.00° and γ = 90.00°. The inequivalent atoms are Nd at (0.092, 0.166, 0.250), Nd at (0.334, 0.010, 0.750), Al at (0.170, 0.602, 0.750) and Al at (0.428, 0.750, 0.000).

The total magnetization is 0.0 μB per formula unit. As for the formation energy: -0.46 eV/atom. The electronic total energy is -18.5304 eV per atom.